(1)
PmNd3: relaxed, PBE.

a b c (Å): 7.3589 7.3589 6.0586
angles (deg): 90.00 90.00 120.00
Space group P6_3/mmc (No. 194)
One atom of each set of equivalent atoms:
Pm  0.3333  0.6667  0.2500
Nd  0.1667  0.3335  0.7500

ΔH_f (0 K) = 0.03 eV/atom
energy above the most stable polymorph in this dataset = 0.021 eV/atom

(2)
Gd2B6Os: relaxed, PBE.

a b c (Å): 9.146 11.566 3.786
angles (deg): 90.00 90.00 90.00
Space group Pbam (No. 55)
One atom of each set of equivalent atoms:
Gd  0.055  0.127  0.000
Gd  0.177  0.414  0.000
B  0.014  0.288  0.500
B  0.055  0.567  0.500
B  0.112  0.968  0.500
B  0.134  0.813  0.500
B  0.208  0.233  0.500
B  0.248  0.580  0.500
Os  0.139  0.678  0.000

ΔH_f (0 K) = -0.59 eV/atom

(3)
Sm4Bi2O: relaxed, PBE.

a b c (Å): 4.682 4.682 17.435
angles (deg): 90.00 90.00 90.00
Space group I4/mmm (No. 139)
One atom of each set of equivalent atoms:
Sm  0.000  0.000  0.175
Sm  0.000  0.500  0.000
Bi  0.000  0.000  0.360
O  0.000  0.000  0.000

ΔH_f (0 K) = -1.39 eV/atom

(4)
Tm2GaRu: relaxed, PBE.

a b c (Å): 6.877 6.877 6.877
angles (deg): 90.00 90.00 90.00
Space group Fm-3m (No. 225)
One atom of each set of equivalent atoms:
Tm  0.250  0.250  0.250
Ga  0.000  0.000  0.000
Ru  0.000  0.000  0.500

ΔH_f (0 K) = -0.51 eV/atom

(5)
Ba2YBr7: relaxed, PBE.

a b c (Å): 19.882 13.650 12.263
angles (deg): 90.00 120.02 90.00
Space group C2/c (No. 15)
One atom of each set of equivalent atoms:
Ba  0.081  0.180  0.037
Ba  0.122  0.442  0.468
Y  0.172  0.160  0.675
Br  0.064  0.416  0.152
Br  0.065  0.027  0.676
Br  0.071  0.203  0.421
Br  0.079  0.298  0.711
Br  0.215  0.345  0.069
Br  0.229  0.003  0.605
Br  0.231  0.194  0.336

ΔH_f (0 K) = -2.43 eV/atom
energy above the most stable polymorph in this dataset = 0.023 eV/atom

(6)
Ba3Cu2Cl2O4: relaxed, PBE.

a b c (Å): 6.654 6.053 10.734
angles (deg): 90.00 90.00 90.00
Space group Pmma (No. 51)
One atom of each set of equivalent atoms:
Ba  0.250  0.000  0.053
Ba  0.250  0.000  0.703
Ba  0.250  0.500  0.289
Cu  0.000  0.500  0.000
Cu  0.250  0.500  0.832
Cl  0.250  0.000  0.384
Cl  0.250  0.500  0.586
O  0.030  0.278  0.861

ΔH_f (0 K) = -2.14 eV/atom

(7)
HfNi2Sb: relaxed, PBE.

a b c (Å): 4.2086 4.2086 8.2117
angles (deg): 90.00 90.00 120.00
Space group P6_3/mmc (No. 194)
One atom of each set of equivalent atoms:
Hf  0.3333  0.6667  0.2500
Ni  0.3333  0.6667  0.5962
Sb  0.0000  0.0000  0.0000

ΔH_f (0 K) = -0.58 eV/atom

(8)
CdBiBrO2: relaxed, PBE.

a b c (Å): 3.973 3.973 12.685
angles (deg): 90.00 90.00 90.00
Space group I4mm (No. 107)
One atom of each set of equivalent atoms:
Cd  0.000  0.000  0.000
Bi  0.000  0.000  0.326
Br  0.000  0.000  0.648
O  0.000  0.500  0.411

ΔH_f (0 K) = -1.34 eV/atom

(9)
KSrAsH16O12: relaxed, PBE.

a b c (Å): 7.191 7.191 23.650
angles (deg): 90.00 90.00 90.00
Space group I4_1md (No. 109)
One atom of each set of equivalent atoms:
K  0.000  0.000  0.000
Sr  0.000  0.000  0.161
As  0.000  0.000  0.583
H  0.109  0.358  0.076
H  0.110  0.146  0.345
H  0.172  0.224  0.676
H  0.176  0.284  0.739
O  0.000  0.202  0.623
O  0.000  0.223  0.336
O  0.000  0.286  0.089
O  0.000  0.299  0.793
O  0.240  0.240  0.206

ΔH_f (0 K) = -1.55 eV/atom

(10)
Mg14MoC: relaxed, PBE.

a b c (Å): 9.041 7.562 9.906
angles (deg): 90.00 90.00 90.00
Space group Amm2 (No. 38)
One atom of each set of equivalent atoms:
Mg  0.000  0.000  0.000
Mg  0.000  0.000  0.458
Mg  0.000  0.210  0.727
Mg  0.241  0.000  0.248
Mg  0.274  0.000  0.637
Mg  0.318  0.191  0.934
Mg  0.500  0.209  0.178
Mo  0.500  0.000  0.441
C  0.500  0.000  0.004

ΔH_f (0 K) = 0.25 eV/atom
energy above the most stable polymorph in this dataset = 0.000 eV/atom

(11)
CeZn: relaxed, PBE.

a b c (Å): 3.612 3.612 3.612
angles (deg): 90.00 90.00 90.00
Space group Pm-3m (No. 221)
One atom of each set of equivalent atoms:
Ce  0.000  0.000  0.000
Zn  0.500  0.500  0.500

ΔH_f (0 K) = -0.19 eV/atom

(12)
Bi: relaxed, PBE.

a b c (Å): 4.656 4.659 6.457
angles (deg): 90.00 90.53 90.00
Space group P2_1/m (No. 11)
One atom of each set of equivalent atoms:
Bi  0.174  0.250  0.264
Bi  0.302  0.250  0.766

ΔH_f (0 K) = 0.06 eV/atom
energy above the most stable polymorph in this dataset = 0.062 eV/atom

(13)
SrEuZr2O6: relaxed, PBE.

a b c (Å): 8.233 8.260 4.232
angles (deg): 90.00 90.00 90.00
Space group Cmmm (No. 65)
One atom of each set of equivalent atoms:
Sr  0.000  0.000  0.000
Eu  0.000  0.500  0.000
Zr  0.250  0.250  0.500
O  0.000  0.190  0.500
O  0.189  0.500  0.500
O  0.250  0.250  0.000

ΔH_f (0 K) = -3.62 eV/atom

(14)
HfNi2Sb: relaxed, PBE.

a b c (Å): 4.4292 4.4292 7.5518
angles (deg): 90.00 90.00 120.00
Space group P6_3/mmc (No. 194)
One atom of each set of equivalent atoms:
Hf  0.0000  0.0000  0.0000
Ni  0.3333  0.6667  0.0928
Sb  0.3333  0.6667  0.7500

ΔH_f (0 K) = -0.33 eV/atom

(15)
Cs2KNF6: relaxed, PBE.

a b c (Å): 8.973 8.973 8.973
angles (deg): 90.00 90.00 90.00
Space group Fm-3m (No. 225)
One atom of each set of equivalent atoms:
Cs  0.250  0.250  0.250
K  0.000  0.000  0.000
N  0.000  0.000  0.500
F  0.000  0.000  0.293

ΔH_f (0 K) = -1.84 eV/atom

(16)
TaAl3: relaxed, PBE.

a b c (Å): 3.859 3.859 8.571
angles (deg): 90.00 90.00 90.00
Space group I4/mmm (No. 139)
One atom of each set of equivalent atoms:
Ta  0.000  0.000  0.000
Al  0.000  0.000  0.500
Al  0.000  0.500  0.250

ΔH_f (0 K) = -0.32 eV/atom